No. 1
First-principles (GGA-PBE) data for USi8H56C16N4 after structural relaxation, as listed in Materials Project.

Values from the calculation:
For the spin magnetization, the calculation gives 4.20 Bohr magnetons per cell. The final energy is -447.2 eV per formula unit.

a b c (Å): 10.891 10.891 19.124
angles (deg): 78.10 78.10 68.55
Fractional coordinates of all 170 atoms:
1 N 0.461 0.307 0.780
2 N 0.539 0.693 0.220
3 N 0.247 0.749 0.357
4 N 0.307 0.461 0.280
5 N 0.749 0.247 0.857
6 N 0.693 0.539 0.720
7 N 0.753 0.251 0.643
8 N 0.251 0.753 0.143
9 H 0.493 0.467 0.336
10 H 0.697 0.442 0.484
11 H 0.558 0.303 0.016
12 H 0.703 0.823 0.766
13 H 0.227 0.330 0.937
14 H 0.312 0.527 0.096
15 H 0.371 0.831 0.660
16 H 0.629 0.169 0.340
17 H 0.887 0.726 0.422
18 H 0.732 0.833 0.318
19 H 0.527 0.312 0.596
20 H 0.510 0.141 0.299
21 H 0.904 0.467 0.782
22 H 0.688 0.473 0.904
23 H 0.974 0.564 0.624
24 H 0.291 0.324 0.656
25 H 0.297 0.177 0.234
26 H 0.676 0.336 0.054
27 H 0.956 0.970 0.185
28 H 0.831 0.371 0.160
29 H 0.564 0.974 0.124
30 H 0.730 0.604 0.547
31 H 0.169 0.629 0.840
32 H 0.359 0.925 0.481
33 H 0.707 0.565 0.033
34 H 0.473 0.688 0.404
35 H 0.670 0.011 0.610
36 H 0.970 0.956 0.685
37 H 0.823 0.703 0.266
38 H 0.239 0.607 0.748
39 H 0.336 0.676 0.554
40 H 0.607 0.239 0.248
41 H 0.341 0.997 0.820
42 H 0.324 0.664 0.946
43 H 0.827 0.293 0.462
44 H 0.003 0.659 0.680
45 H 0.069 0.762 0.289
46 H 0.324 0.291 0.156
47 H 0.253 0.029 0.014
48 H 0.670 0.773 0.563
49 H 0.659 0.003 0.180
50 H 0.565 0.707 0.533
51 H 0.833 0.732 0.818
52 H 0.507 0.533 0.664
53 H 0.931 0.238 0.711
54 H 0.467 0.493 0.836
55 H 0.238 0.931 0.211
56 H 0.997 0.341 0.320
57 H 0.177 0.297 0.734
58 H 0.762 0.069 0.789
59 H 0.533 0.096 0.718
60 H 0.303 0.558 0.516
61 H 0.881 0.005 0.348
62 H 0.859 0.490 0.201
63 H 0.533 0.507 0.164
64 H 0.268 0.167 0.682
65 H 0.017 0.806 0.041
66 H 0.029 0.253 0.514
67 H 0.709 0.676 0.344
68 H 0.393 0.761 0.752
69 H 0.467 0.904 0.282
70 H 0.726 0.887 0.922
71 H 0.005 0.881 0.848
72 H 0.676 0.709 0.844
73 H 0.398 0.960 0.057
74 H 0.641 0.075 0.519
75 H 0.707 0.173 0.038
76 H 0.435 0.293 0.467
77 H 0.044 0.030 0.815
78 H 0.040 0.602 0.443
79 H 0.604 0.730 0.047
80 H 0.664 0.324 0.446
81 H 0.984 0.023 0.091
82 H 0.490 0.859 0.701
83 H 0.733 0.871 0.127
84 H 0.023 0.984 0.591
85 H 0.330 0.989 0.390
86 H 0.026 0.436 0.376
87 H 0.442 0.697 0.984
88 H 0.113 0.274 0.578
89 H 0.396 0.270 0.953
90 H 0.096 0.533 0.218
91 H 0.925 0.359 0.981
92 H 0.761 0.393 0.252
93 H 0.602 0.040 0.943
94 H 0.983 0.194 0.959
95 H 0.011 0.670 0.110
96 H 0.141 0.510 0.799
97 H 0.989 0.330 0.890
98 H 0.129 0.267 0.373
99 H 0.293 0.827 0.962
100 H 0.977 0.016 0.409
101 H 0.436 0.026 0.876
102 H 0.167 0.268 0.182
103 H 0.330 0.227 0.437
104 H 0.030 0.044 0.315
105 H 0.995 0.119 0.152
106 H 0.960 0.398 0.557
107 H 0.773 0.670 0.063
108 H 0.119 0.995 0.652
109 H 0.293 0.435 0.967
110 H 0.806 0.017 0.541
111 H 0.075 0.641 0.019
112 H 0.267 0.129 0.873
113 H 0.747 0.971 0.986
114 H 0.274 0.113 0.078
115 H 0.871 0.733 0.627
116 H 0.971 0.747 0.486
117 H 0.016 0.977 0.909
118 H 0.270 0.396 0.453
119 H 0.194 0.983 0.459
120 H 0.173 0.707 0.538
121 C 0.014 0.290 0.565
122 C 0.274 0.251 0.703
123 C 0.016 0.017 0.642
124 C 0.070 0.701 0.060
125 C 0.930 0.299 0.940
126 C 0.075 0.360 0.340
127 C 0.785 0.445 0.198
128 C 0.290 0.014 0.065
129 C 0.925 0.640 0.660
130 C 0.358 0.317 0.432
131 C 0.726 0.749 0.297
132 C 0.642 0.683 0.568
133 C 0.721 0.335 0.484
134 C 0.251 0.274 0.203
135 C 0.445 0.785 0.698
136 C 0.335 0.721 0.984
137 C 0.683 0.642 0.068
138 C 0.986 0.710 0.435
139 C 0.983 0.984 0.858
140 C 0.984 0.983 0.358
141 C 0.360 0.075 0.840
142 C 0.640 0.925 0.160
143 C 0.749 0.726 0.797
144 C 0.279 0.665 0.516
145 C 0.710 0.986 0.935
146 C 0.317 0.358 0.932
147 C 0.665 0.279 0.016
148 C 0.017 0.016 0.142
149 C 0.299 0.930 0.440
150 C 0.701 0.070 0.560
151 C 0.215 0.555 0.802
152 C 0.555 0.215 0.302
153 U 0.335 0.665 0.250
154 U 0.665 0.335 0.750
155 Si 0.576 0.633 0.664
156 Si 0.815 0.587 0.740
157 Si 0.424 0.367 0.336
158 Si 0.633 0.576 0.164
159 Si 0.185 0.413 0.260
160 Si 0.755 0.326 0.925
161 Si 0.245 0.674 0.075
162 Si 0.413 0.185 0.760
163 Si 0.674 0.245 0.575
164 Si 0.326 0.755 0.425
165 Si 0.367 0.424 0.836
166 Si 0.587 0.815 0.240
167 Si 0.924 0.201 0.640
168 Si 0.201 0.924 0.140
169 Si 0.799 0.076 0.860
170 Si 0.076 0.799 0.360



No. 2
First-principles (GGA-PBE) data for ZnSi4H36C12N2 after structural relaxation, as listed in Materials Project.

Values from the calculation:
For the spin magnetization, the calculation gives 0.24 Bohr magnetons per cell. The final energy is -285.8 eV per formula unit.

a b c (Å): 12.754 18.385 12.737
angles (deg): 90.00 116.78 90.00
Fractional coordinates of all 220 atoms:
1 H 0.370 0.838 0.795
2 H 0.085 0.701 0.613
3 H 0.614 0.326 0.056
4 H 0.218 0.877 0.889
5 H 0.049 0.360 0.156
6 H 0.103 0.861 0.929
7 H 0.128 0.790 0.668
8 H 0.378 0.323 0.453
9 H 0.078 0.197 0.779
10 H 0.589 0.577 0.995
11 H 0.879 0.052 0.120
12 H 0.666 0.493 0.037
13 H 0.872 0.210 0.332
14 H 0.573 0.974 0.840
15 H 0.436 0.247 0.896
16 H 0.683 0.954 0.984
17 H 0.951 0.640 0.844
18 H 0.334 0.993 0.463
19 H 0.147 0.740 0.044
20 H 0.666 0.007 0.537
21 H 0.120 0.019 0.086
22 H 0.576 0.022 0.964
23 H 0.733 0.457 0.805
24 H 0.370 0.662 0.295
25 H 0.726 0.806 0.863
26 H 0.124 0.503 0.138
27 H 0.589 0.923 0.495
28 H 0.880 0.519 0.414
29 H 0.138 0.108 0.801
30 H 0.274 0.194 0.137
31 H 0.058 0.123 0.454
32 H 0.138 0.392 0.301
33 H 0.897 0.361 0.571
34 H 0.267 0.957 0.695
35 H 0.782 0.123 0.111
36 H 0.097 0.061 0.371
37 H 0.862 0.608 0.699
38 H 0.507 0.220 0.171
39 H 0.378 0.177 0.953
40 H 0.236 0.648 0.866
41 H 0.686 0.765 0.577
42 H 0.903 0.561 0.129
43 H 0.866 0.735 0.446
44 H 0.834 0.444 0.955
45 H 0.726 0.261 0.090
46 H 0.424 0.978 0.036
47 H 0.915 0.201 0.887
48 H 0.411 0.423 0.005
49 H 0.134 0.265 0.554
50 H 0.726 0.694 0.363
51 H 0.406 0.690 0.181
52 H 0.108 0.565 0.649
53 H 0.317 0.454 0.516
54 H 0.951 0.860 0.344
55 H 0.443 0.005 0.609
56 H 0.841 0.850 0.599
57 H 0.839 0.818 0.820
58 H 0.564 0.747 0.604
59 H 0.853 0.240 0.456
60 H 0.897 0.139 0.071
61 H 0.161 0.182 0.180
62 H 0.573 0.526 0.340
63 H 0.436 0.253 0.396
64 H 0.594 0.310 0.819
65 H 0.622 0.677 0.547
66 H 0.317 0.046 0.016
67 H 0.834 0.056 0.455
68 H 0.782 0.377 0.611
69 H 0.161 0.318 0.680
70 H 0.097 0.439 0.871
71 H 0.121 0.948 0.880
72 H 0.274 0.306 0.637
73 H 0.218 0.623 0.389
74 H 0.915 0.299 0.387
75 H 0.159 0.350 0.901
76 H 0.892 0.065 0.851
77 H 0.942 0.877 0.546
78 H 0.411 0.077 0.505
79 H 0.892 0.435 0.351
80 H 0.166 0.556 0.045
81 H 0.903 0.939 0.629
82 H 0.683 0.546 0.484
83 H 0.493 0.720 0.329
84 H 0.622 0.823 0.047
85 H 0.134 0.235 0.054
86 H 0.222 0.998 0.234
87 H 0.222 0.502 0.734
88 H 0.236 0.852 0.366
89 H 0.726 0.239 0.590
90 H 0.841 0.650 0.099
91 H 0.839 0.682 0.320
92 H 0.334 0.507 0.963
93 H 0.147 0.760 0.544
94 H 0.443 0.495 0.109
95 H 0.507 0.280 0.671
96 H 0.942 0.623 0.046
97 H 0.386 0.674 0.944
98 H 0.386 0.826 0.444
99 H 0.764 0.148 0.634
100 H 0.880 0.981 0.914
101 H 0.876 0.497 0.862
102 H 0.614 0.174 0.556
103 H 0.314 0.265 0.923
104 H 0.778 0.498 0.266
105 H 0.686 0.735 0.077
106 H 0.733 0.043 0.305
107 H 0.764 0.352 0.134
108 H 0.121 0.552 0.380
109 H 0.862 0.892 0.199
110 H 0.879 0.448 0.620
111 H 0.630 0.338 0.705
112 H 0.085 0.799 0.113
113 H 0.159 0.150 0.401
114 H 0.493 0.780 0.829
115 H 0.267 0.543 0.195
116 H 0.922 0.697 0.721
117 H 0.314 0.235 0.423
118 H 0.406 0.810 0.681
119 H 0.049 0.140 0.656
120 H 0.876 0.003 0.362
121 H 0.124 0.997 0.638
122 H 0.058 0.377 0.954
123 H 0.778 0.002 0.766
124 H 0.564 0.753 0.104
125 H 0.872 0.290 0.832
126 H 0.576 0.478 0.464
127 H 0.128 0.710 0.168
128 H 0.427 0.026 0.160
129 H 0.922 0.803 0.221
130 H 0.853 0.260 0.956
131 H 0.120 0.481 0.586
132 H 0.427 0.474 0.660
133 H 0.166 0.944 0.545
134 H 0.630 0.162 0.205
135 H 0.594 0.190 0.319
136 H 0.557 0.995 0.391
137 H 0.108 0.935 0.149
138 H 0.078 0.303 0.279
139 H 0.274 0.761 0.410
140 H 0.274 0.739 0.910
141 H 0.103 0.639 0.429
142 H 0.424 0.522 0.536
143 H 0.557 0.505 0.891
144 H 0.866 0.765 0.946
145 C 0.403 0.708 0.262
146 C 0.701 0.309 0.123
147 C 0.198 0.984 0.618
148 C 0.646 0.723 0.608
149 C 0.201 0.279 0.643
150 C 0.116 0.345 0.244
151 C 0.849 0.257 0.371
152 C 0.829 0.475 0.355
153 C 0.802 0.016 0.382
154 C 0.369 0.498 0.575
155 C 0.799 0.779 0.857
156 C 0.802 0.484 0.882
157 C 0.403 0.792 0.762
158 C 0.171 0.525 0.645
159 C 0.701 0.191 0.623
160 C 0.597 0.208 0.238
161 C 0.849 0.243 0.871
162 C 0.354 0.277 0.392
163 C 0.884 0.655 0.756
164 C 0.829 0.025 0.855
165 C 0.299 0.809 0.377
166 C 0.631 0.998 0.925
167 C 0.628 0.967 0.466
168 C 0.169 0.901 0.933
169 C 0.171 0.975 0.145
170 C 0.831 0.401 0.567
171 C 0.799 0.721 0.357
172 C 0.631 0.502 0.425
173 C 0.372 0.033 0.534
174 C 0.169 0.599 0.433
175 C 0.299 0.691 0.877
176 C 0.869 0.604 0.062
177 C 0.354 0.223 0.892
178 C 0.884 0.845 0.256
179 C 0.369 0.002 0.075
180 C 0.131 0.104 0.438
181 C 0.831 0.099 0.067
182 C 0.372 0.467 0.034
183 C 0.116 0.155 0.744
184 C 0.869 0.896 0.562
185 C 0.151 0.757 0.129
186 C 0.628 0.533 0.966
187 C 0.597 0.292 0.738
188 C 0.201 0.221 0.143
189 C 0.151 0.743 0.629
190 C 0.198 0.516 0.118
191 C 0.131 0.396 0.938
192 C 0.646 0.777 0.108
193 N 0.679 0.631 0.812
194 N 0.321 0.369 0.188
195 N 0.646 0.361 0.319
196 N 0.646 0.139 0.819
197 N 0.321 0.131 0.688
198 N 0.354 0.639 0.681
199 N 0.354 0.861 0.181
200 N 0.679 0.869 0.312
201 Si 0.750 0.806 0.262
202 Si 0.731 0.069 0.912
203 Si 0.250 0.306 0.238
204 Si 0.750 0.694 0.762
205 Si 0.256 0.433 0.075
206 Si 0.731 0.431 0.412
207 Si 0.303 0.712 0.734
208 Si 0.303 0.788 0.234
209 Si 0.250 0.194 0.738
210 Si 0.269 0.569 0.588
211 Si 0.697 0.288 0.266
212 Si 0.256 0.067 0.575
213 Si 0.744 0.933 0.425
214 Si 0.269 0.931 0.088
215 Si 0.744 0.567 0.925
216 Si 0.697 0.212 0.766
217 Zn 0.516 0.634 0.744
218 Zn 0.484 0.134 0.756
219 Zn 0.484 0.366 0.256
220 Zn 0.516 0.866 0.244